Material: Na6ZnSn2
Method: DFT, PBE-GGA
State: relaxed

The structure in POSCAR format:
```
Na6ZnSn2
1.0
4.7387 -2.8237 1.6683
5.1555 2.5301 0.4804
-0.6065 2.0794 9.1595
Na Zn Sn
6 1 2
direct
0.5297 0.5297 0.2754 Na
0.8265 0.8265 0.5909 Na
0.7071 0.7071 0.9298 Na
0.1735 0.1735 0.4091 Na
0.4703 0.4703 0.7246 Na
0.2929 0.2929 0.0702 Na
0.0000 0.0000 0.0000 Zn
0.8544 0.8544 0.2506 Sn
0.1456 0.1456 0.7494 Sn
```

E_form = -0.16 eV per atom